A relaxed structure of Na3Mn2P2C2O14, computed with PBE+U.

Cell and atoms, written as CIF:
```
data_Na3Mn2P2C2O14
_chemical_formula_sum 'Na6 Mn4 P4 C4 O28'
_space_group_name_H-M_alt 'P -1'
_space_group_IT_number 2
_space_group_name_Hall '-P 1'
_cell_length_a 8.421
_cell_length_b 8.425
_cell_length_c 9.017
_cell_angle_alpha 90.13
_cell_angle_beta 92.15
_cell_angle_gamma 103.45
loop_
_atom_site_label
_atom_site_type_symbol
_atom_site_fract_x
_atom_site_fract_y
_atom_site_fract_z
_atom_site_occupancy
Na1 Na 0.125 0.128 0.236 1
Na2 Na 0.348 0.385 0.755 1
Na3 Na 0.371 0.884 0.241 1
Mn1 Mn 0.229 0.484 0.351 1
Mn2 Mn 0.269 0.011 0.656 1
P1 P 0.021 0.762 0.426 1
P2 P 0.494 0.729 0.570 1
C1 C 0.242 0.991 0.924 1
C2 C 0.262 0.511 0.082 1
O1 O 0.055 0.311 0.429 1
O2 O 0.095 0.640 0.337 1
O3 O 0.103 0.183 0.678 1
O4 O 0.145 0.893 0.828 1
O5 O 0.147 0.402 0.147 1
O6 O 0.164 0.914 0.468 1
O7 O 0.229 0.986 0.061 1
O8 O 0.282 0.524 0.948 1
O9 O 0.347 0.580 0.534 1
O10 O 0.357 0.098 0.857 1
O11 O 0.357 0.606 0.186 1
O12 O 0.373 0.332 0.335 1
O13 O 0.438 0.201 0.580 1
O14 O 0.444 0.859 0.665 1
```

Results
E_form   -2.248 eV/atom

***

A relaxed structure of RbMgInW2O8, computed with PBE+U.

Cell and atoms, written as CIF:
```
data_RbMgInW2O8
_chemical_formula_sum 'Rb1 Mg1 In1 W2 O8'
_space_group_name_H-M_alt 'P 3 m 1'
_space_group_IT_number 156
_space_group_name_Hall 'P 3 -2"'
_cell_length_a 6.1560
_cell_length_b 6.1560
_cell_length_c 7.1848
_cell_angle_alpha 90.00
_cell_angle_beta 90.00
_cell_angle_gamma 120.00
loop_
_atom_site_label
_atom_site_type_symbol
_atom_site_fract_x
_atom_site_fract_y
_atom_site_fract_z
_atom_site_occupancy
Rb1 Rb 0.0000 0.0000 0.0000 1
Mg1 Mg 0.6667 0.3333 0.7281 1
In1 In 0.0000 0.0000 0.4889 1
W1 W 0.3333 0.6667 0.7424 1
W2 W 0.6667 0.3333 0.2758 1
O1 O 0.1675 0.3350 0.6708 1
O2 O 0.3253 0.1627 0.3118 1
O3 O 0.3333 0.6667 0.9875 1
O4 O 0.6667 0.3333 0.0121 1
```

Results
E_form   -1.867 eV/atom

***

A relaxed structure of CeVO2, computed with PBE+U.

Cell and atoms, written as CIF:
```
data_CeVO2
_chemical_formula_sum 'Ce8 V8 O16'
_space_group_name_H-M_alt 'I 41/a m d'
_space_group_IT_number 141
_cell_length_a 6.293
_cell_length_b 6.293
_cell_length_c 12.235
_cell_angle_alpha 90.00
_cell_angle_beta 90.00
_cell_angle_gamma 90.00
loop_
_space_group_symop_operation_xyz
'x,y,z'
'-x,-y,-z'
'-y+1/4,x+3/4,z+1/4'
'y+1/4,-x+3/4,-z+1/4'
'-x+1/2,-y,z+1/2'
'x+1/2,y,-z+1/2'
'y+1/4,-x+1/4,z+3/4'
'-y+1/4,x+1/4,-z+3/4'
'x,-y,-z'
'-x,y,z'
'-y+1/4,-x+1/4,-z+3/4'
'y+1/4,x+1/4,z+3/4'
'-x+1/2,y,-z+1/2'
'x+1/2,-y,z+1/2'
'y+1/4,x+3/4,-z+1/4'
'-y+1/4,-x+3/4,z+1/4'
'x+1/2,y+1/2,z+1/2'
'-x+1/2,-y+1/2,-z+1/2'
'-y+3/4,x+1/4,z+3/4'
'y+3/4,-x+1/4,-z+3/4'
'-x,-y+1/2,z'
'x,y+1/2,-z'
'y+3/4,-x+3/4,z+1/4'
'-y+3/4,x+3/4,-z+1/4'
'x+1/2,-y+1/2,-z+1/2'
'-x+1/2,y+1/2,z+1/2'
'-y+3/4,-x+3/4,-z+1/4'
'y+3/4,x+3/4,z+1/4'
'-x,y+1/2,-z'
'x,-y+1/2,z'
'y+3/4,x+1/4,-z+3/4'
'-y+3/4,-x+1/4,z+3/4'
loop_
_atom_site_label
_atom_site_type_symbol
_atom_site_fract_x
_atom_site_fract_y
_atom_site_fract_z
_atom_site_occupancy
Ce1 Ce 0.000 0.000 0.000 1
V1 V 0.000 0.000 0.500 1
O1 O 0.000 0.030 0.198 1
```

Results
E_form   -2.420 eV/atom

***

A relaxed structure of La5Mn5O18, computed with PBE+U.

Cell and atoms, written as CIF:
```
data_La5Mn5O18
_chemical_formula_sum 'La5 Mn5 O18'
_space_group_name_H-M_alt 'P 1'
_space_group_IT_number 1
_space_group_name_Hall 'P 1'
_cell_length_a 5.410
_cell_length_b 5.484
_cell_length_c 12.223
_cell_angle_alpha 102.95
_cell_angle_beta 101.79
_cell_angle_gamma 90.02
loop_
_atom_site_label
_atom_site_type_symbol
_atom_site_fract_x
_atom_site_fract_y
_atom_site_fract_z
_atom_site_occupancy
La1 La 0.000 0.000 0.000 1
La2 La 0.156 0.155 0.318 1
La3 La 0.496 0.497 0.995 1
La4 La 0.655 0.652 0.311 1
La5 La 0.827 0.823 0.656 1
Mn1 Mn 0.246 0.750 0.494 1
Mn2 Mn 0.408 0.901 0.817 1
Mn3 Mn 0.577 0.076 0.156 1
Mn4 Mn 0.743 0.249 0.495 1
Mn5 Mn 0.910 0.401 0.819 1
O1 O 0.013 0.012 0.503 1
O2 O 0.116 0.109 0.812 1
O3 O 0.169 0.712 0.336 1
O4 O 0.188 0.657 0.851 1
O5 O 0.307 0.848 0.145 1
O6 O 0.329 0.770 0.659 1
O7 O 0.360 0.341 0.169 1
O8 O 0.467 0.461 0.462 1
O9 O 0.494 0.043 0.989 1
O10 O 0.539 0.957 0.500 1
O11 O 0.634 0.164 0.809 1
O12 O 0.662 0.109 0.323 1
O13 O 0.698 0.696 0.844 1
O14 O 0.786 0.801 0.139 1
O15 O 0.823 0.380 0.653 1
O16 O 0.851 0.298 0.172 1
O17 O 0.953 0.506 0.467 1
O18 O 0.982 0.442 0.977 1
```

Results
E_form   -2.682 eV/atom

***

A relaxed structure of Li4CrFe3O8, computed with PBE+U.

Cell and atoms, written as CIF:
```
data_Li4CrFe3O8
_chemical_formula_sum 'Li8 Cr2 Fe6 O16'
_space_group_name_H-M_alt 'C 1 2/m 1'
_space_group_IT_number 12
_space_group_name_Hall '-C 2y'
_cell_length_a 10.336
_cell_length_b 5.965
_cell_length_c 5.192
_cell_angle_alpha 90.00
_cell_angle_beta 109.40
_cell_angle_gamma 90.00
loop_
_atom_site_label
_atom_site_type_symbol
_atom_site_fract_x
_atom_site_fract_y
_atom_site_fract_z
_atom_site_occupancy
Li1 Li 0.000 0.249 0.000 1
Li2 Li 0.249 0.000 0.998 1
Cr1 Cr 0.000 0.000 0.500 1
Fe1 Fe 0.000 0.500 0.500 1
Fe2 Fe 0.250 0.250 0.500 1
O1 O 0.121 0.249 0.728 1
O2 O 0.128 0.000 0.273 1
O3 O 0.129 0.500 0.271 1
```

Results
E_form   -2.056 eV/atom

***

A relaxed structure of CaMo2O4, computed with PBE+U.

Cell and atoms, written as CIF:
```
data_CaMo2O4
_chemical_formula_sum 'Ca6 Mo12 O24'
_space_group_name_H-M_alt 'P 1'
_space_group_IT_number 1
_space_group_name_Hall 'P 1'
_cell_length_a 6.443
_cell_length_b 6.537
_cell_length_c 16.139
_cell_angle_alpha 91.25
_cell_angle_beta 91.86
_cell_angle_gamma 119.35
loop_
_atom_site_label
_atom_site_type_symbol
_atom_site_fract_x
_atom_site_fract_y
_atom_site_fract_z
_atom_site_occupancy
Ca1 Ca 0.000 0.000 0.000 1
Ca2 Ca 0.000 0.494 0.878 1
Ca3 Ca 0.001 0.482 0.501 1
Ca4 Ca 0.348 0.638 0.333 1
Ca5 Ca 0.646 0.312 0.665 1
Ca6 Ca 0.669 0.816 0.163 1
Mo1 Mo 0.009 0.511 0.129 1
Mo2 Mo 0.139 0.800 0.668 1
Mo3 Mo 0.148 0.310 0.669 1
Mo4 Mo 0.323 0.148 0.837 1
Mo5 Mo 0.332 0.119 0.204 1
Mo6 Mo 0.358 0.131 0.461 1
Mo7 Mo 0.499 0.489 0.998 1
Mo8 Mo 0.501 0.995 0.000 1
Mo9 Mo 0.644 0.831 0.533 1
Mo10 Mo 0.645 0.809 0.789 1
Mo11 Mo 0.844 0.648 0.330 1
Mo12 Mo 0.855 0.156 0.333 1
O1 O 0.006 0.491 0.739 1
O2 O 0.010 0.978 0.258 1
O3 O 0.157 0.790 0.413 1
O4 O 0.177 0.317 0.416 1
O5 O 0.190 0.308 0.917 1
O6 O 0.197 0.869 0.916 1
O7 O 0.277 0.114 0.597 1
O8 O 0.315 0.637 0.607 1
O9 O 0.344 0.671 0.064 1
O10 O 0.367 0.181 0.078 1
O11 O 0.468 0.465 0.760 1
O12 O 0.468 0.973 0.756 1
O13 O 0.523 0.988 0.256 1
O14 O 0.531 0.495 0.245 1
O15 O 0.623 0.297 0.923 1
O16 O 0.634 0.804 0.915 1
O17 O 0.690 0.328 0.399 1
O18 O 0.717 0.842 0.404 1
O19 O 0.819 0.150 0.083 1
O20 O 0.822 0.641 0.589 1
O21 O 0.832 0.662 0.068 1
O22 O 0.838 0.165 0.591 1
O23 O 0.980 0.455 0.257 1
O24 O 0.987 0.980 0.752 1
```

Results
E_form   -2.075 eV/atom

***

A relaxed structure of GdFe2BiO6, computed with PBE+U.

Cell and atoms, written as CIF:
```
data_GdFe2BiO6
_chemical_formula_sum 'Gd2 Fe4 Bi2 O12'
_space_group_name_H-M_alt 'P m c 21'
_space_group_IT_number 26
_space_group_name_Hall 'P 2c -2'
_cell_length_a 7.660
_cell_length_b 5.351
_cell_length_c 5.585
_cell_angle_alpha 90.00
_cell_angle_beta 90.00
_cell_angle_gamma 90.00
loop_
_atom_site_label
_atom_site_type_symbol
_atom_site_fract_x
_atom_site_fract_y
_atom_site_fract_z
_atom_site_occupancy
Gd1 Gd 0.000 0.236 0.000 1
Fe1 Fe 0.247 0.249 0.559 1
Bi1 Bi 0.500 0.262 0.111 1
O1 O 0.000 0.344 0.590 1
O2 O 0.199 0.053 0.261 1
O3 O 0.289 0.444 0.860 1
O4 O 0.500 0.161 0.535 1
```

Results
E_form   -2.181 eV/atom

***

A relaxed structure of NiOF2, computed with PBE+U.

Cell and atoms, written as CIF:
```
data_NiOF2
_chemical_formula_sum 'Ni4 O4 F8'
_space_group_name_H-M_alt 'P 1 21/c 1'
_space_group_IT_number 14
_space_group_name_Hall '-P 2ybc'
_cell_length_a 7.906
_cell_length_b 4.003
_cell_length_c 7.580
_cell_angle_alpha 90.00
_cell_angle_beta 112.57
_cell_angle_gamma 90.00
loop_
_atom_site_label
_atom_site_type_symbol
_atom_site_fract_x
_atom_site_fract_y
_atom_site_fract_z
_atom_site_occupancy
Ni1 Ni 0.160 0.230 0.313 1
O1 O 0.475 0.112 0.439 1
F1 F 0.120 0.733 0.298 1
F2 F 0.213 0.249 0.585 1
```

Results
E_form   -1.584 eV/atom

***

A relaxed structure of Sr4Ca4FeCo7O24, computed with PBE+U.

Cell and atoms, written as CIF:
```
data_Sr4Ca4FeCo7O24
_chemical_formula_sum 'Sr8 Ca8 Fe2 Co14 O48'
_space_group_name_H-M_alt 'C 1 m 1'
_space_group_IT_number 8
_space_group_name_Hall 'C -2y'
_cell_length_a 10.966
_cell_length_b 10.964
_cell_length_c 7.598
_cell_angle_alpha 90.00
_cell_angle_beta 90.13
_cell_angle_gamma 90.00
loop_
_atom_site_label
_atom_site_type_symbol
_atom_site_fract_x
_atom_site_fract_y
_atom_site_fract_z
_atom_site_occupancy
Sr1 Sr 0.000 0.000 0.000 1
Sr2 Sr 0.008 0.500 0.504 1
Sr3 Sr 0.254 0.254 0.503 1
Ca1 Ca 0.011 0.500 0.997 1
Ca2 Ca 0.253 0.257 0.995 1
Ca3 Ca 0.497 0.500 0.507 1
Fe1 Fe 0.254 0.000 0.753 1
Co1 Co 0.004 0.250 0.250 1
Co2 Co 0.004 0.250 0.753 1
Co3 Co 0.254 0.000 0.251 1
Co4 Co 0.254 0.500 0.250 1
Co5 Co 0.254 0.500 0.752 1
O1 O 0.004 0.248 0.515 1
O2 O 0.004 0.251 0.989 1
O3 O 0.122 0.133 0.250 1
O4 O 0.130 0.124 0.754 1
O5 O 0.131 0.377 0.758 1
O6 O 0.131 0.378 0.242 1
O7 O 0.251 0.000 0.485 1
O8 O 0.252 0.500 0.001 1
O9 O 0.256 0.000 0.019 1
O10 O 0.257 0.500 0.502 1
O11 O 0.376 0.376 0.754 1
O12 O 0.376 0.378 0.250 1
O13 O 0.379 0.124 0.757 1
O14 O 0.386 0.133 0.248 1
```

Results
E_form   -1.979 eV/atom

***

A relaxed structure of Li9Mn2Co5O16, computed with PBE+U.

Cell and atoms, written as CIF:
```
data_Li9Mn2Co5O16
_chemical_formula_sum 'Li9 Mn2 Co5 O16'
_space_group_name_H-M_alt 'P 1'
_space_group_IT_number 1
_space_group_name_Hall 'P 1'
_cell_length_a 5.102
_cell_length_b 5.904
_cell_length_c 9.700
_cell_angle_alpha 88.43
_cell_angle_beta 78.30
_cell_angle_gamma 89.23
loop_
_atom_site_label
_atom_site_type_symbol
_atom_site_fract_x
_atom_site_fract_y
_atom_site_fract_z
_atom_site_occupancy
Li1 Li 0.000 0.000 0.000 1
Li2 Li 0.001 0.754 0.503 1
Li3 Li 0.004 0.509 0.997 1
Li4 Li 0.244 0.745 0.742 1
Li5 Li 0.251 0.256 0.750 1
Li6 Li 0.497 0.511 0.509 1
Li7 Li 0.508 0.001 0.509 1
Li8 Li 0.759 0.254 0.261 1
Li9 Li 0.765 0.764 0.264 1
Mn1 Mn 0.257 0.510 0.256 1
Mn2 Mn 0.508 0.255 0.003 1
Co1 Co 0.258 0.007 0.258 1
Co2 Co 0.504 0.753 0.003 1
Co3 Co 0.757 0.507 0.743 1
Co4 Co 0.757 0.998 0.744 1
Co5 Co 0.999 0.254 0.503 1
O1 O 0.102 0.498 0.635 1
O2 O 0.107 0.018 0.633 1
O3 O 0.155 0.738 0.126 1
O4 O 0.160 0.262 0.138 1
O5 O 0.373 0.278 0.373 1
O6 O 0.373 0.749 0.358 1
O7 O 0.397 0.485 0.883 1
O8 O 0.400 0.013 0.895 1
O9 O 0.604 0.020 0.130 1
O10 O 0.605 0.500 0.118 1
O11 O 0.620 0.760 0.640 1
O12 O 0.638 0.255 0.629 1
O13 O 0.847 0.755 0.882 1
O14 O 0.851 0.251 0.886 1
O15 O 0.911 0.496 0.372 1
O16 O 0.916 0.011 0.373 1
```

Results
E_form   -1.818 eV/atom

***

A relaxed structure of CaCrSi4O10, computed with PBE+U.

Cell and atoms, written as CIF:
```
data_CaCrSi4O10
_chemical_formula_sum 'Ca4 Cr4 Si16 O40'
_space_group_name_H-M_alt 'P 4/n c c'
_space_group_IT_number 130
_cell_length_a 7.479
_cell_length_b 7.479
_cell_length_c 15.400
_cell_angle_alpha 90.00
_cell_angle_beta 90.00
_cell_angle_gamma 90.00
loop_
_space_group_symop_operation_xyz
'x,y,z'
'-x,-y,-z'
'-y+1/2,x,z'
'y+1/2,-x,-z'
'-x+1/2,-y+1/2,z'
'x+1/2,y+1/2,-z'
'y,-x+1/2,z'
'-y,x+1/2,-z'
'x+1/2,-y,-z+1/2'
'-x+1/2,y,z+1/2'
'-y,-x,-z+1/2'
'y,x,z+1/2'
'-x,y+1/2,-z+1/2'
'x,-y+1/2,z+1/2'
'y+1/2,x+1/2,-z+1/2'
'-y+1/2,-x+1/2,z+1/2'
loop_
_atom_site_label
_atom_site_type_symbol
_atom_site_fract_x
_atom_site_fract_y
_atom_site_fract_z
_atom_site_occupancy
Ca1 Ca 0.250 0.750 0.000 1
Cr1 Cr 0.250 0.250 0.081 1
Si1 Si 0.002 0.080 0.352 1
O1 O 0.002 0.203 0.872 1
O2 O 0.002 0.645 0.418 1
O3 O 0.044 0.544 0.250 1
```

Results
E_form   -3.163 eV/atom